1.
Below is a relaxed Na2CaGeP2SO12 crystal, with properties calculated at the PBE level.

Calculated values
volume = 1561.2 Å³ per cell
MP2020-corrected energy = -6.83 eV per atom

Unit cell a=9.0244 b=9.0085 c=22.2043 alpha=91.93 beta=90.00 gamma=120.06
Sites, in units of the cell vectors:
P (0.6919, 0.9838, 0.7515)
P (0.6123, 0.9739, 0.4208)
P (0.0282, 0.3072, 0.2541)
P (0.2919, 0.9838, 0.2515)
P (0.9457, 0.6406, 0.0874)
P (0.6252, 0.6504, 0.9181)
P (0.2790, 0.3072, 0.7541)
P (0.3616, 0.9739, 0.9208)
P (0.3585, 0.3171, 0.0848)
P (0.6949, 0.6406, 0.5874)
P (0.0252, 0.6504, 0.4181)
P (0.9586, 0.3171, 0.5848)
O (0.8755, 0.5451, 0.7435)
O (0.6697, 0.5451, 0.2435)
O (0.1310, 0.6620, 0.4713)
O (0.2026, 0.4905, 0.2571)
O (0.5143, 0.8024, 0.7535)
O (0.4407, 0.2873, 0.0232)
O (0.8476, 0.4690, 0.4202)
O (0.7947, 0.0131, 0.4099)
O (0.3446, 0.4635, 0.4707)
O (0.5179, 0.7066, 0.2510)
O (0.5446, 0.8841, 0.4785)
O (0.1799, 0.9539, 0.1898)
O (0.2881, 0.8024, 0.2535)
O (0.1977, 0.9954, 0.3047)
O (0.3759, 0.4876, 0.3607)
O (0.0426, 0.8210, 0.6940)
O (0.0030, 0.2118, 0.9101)
O (0.1074, 0.6206, 0.3565)
O (0.3865, 0.8726, 0.8632)
O (0.4613, 0.3465, 0.7433)
O (0.5132, 0.6206, 0.8565)
O (0.1189, 0.4635, 0.9707)
O (0.8512, 0.3732, 0.9177)
O (0.7741, 0.9539, 0.6898)
O (0.8465, 0.2873, 0.5232)
O (0.7092, 0.1543, 0.0274)
O (0.2185, 0.0131, 0.9099)
O (0.1846, 0.0399, 0.5843)
O (0.5422, 0.8785, 0.0768)
O (0.5359, 0.1572, 0.9238)
O (0.7784, 0.8210, 0.1940)
O (0.7856, 0.7968, 0.3041)
O (0.6523, 0.1270, 0.7479)
O (0.4522, 0.1301, 0.6374)
O (0.7976, 0.9954, 0.8047)
O (0.3190, 0.4604, 0.0812)
O (0.8779, 0.5508, 0.1451)
O (0.0532, 0.2059, 0.1966)
O (0.6212, 0.1572, 0.4238)
O (0.4643, 0.3287, 0.1380)
O (0.4451, 0.1543, 0.5274)
O (0.3396, 0.8841, 0.9785)
O (0.2112, 0.2175, 0.8118)
O (0.9546, 0.8238, 0.0904)
O (0.5220, 0.3732, 0.4177)
O (0.2879, 0.4905, 0.7571)
O (0.8693, 0.8238, 0.5904)
O (0.6729, 0.5508, 0.6451)
O (0.5518, 0.6798, 0.5766)
O (0.1118, 0.4876, 0.8607)
O (0.4861, 0.8726, 0.3632)
O (0.7199, 0.5392, 0.5299)
O (0.2088, 0.2118, 0.4101)
O (0.1280, 0.6798, 0.0766)
O (0.8194, 0.5392, 0.0299)
O (0.8553, 0.0399, 0.0843)
O (0.1810, 0.1357, 0.0868)
O (0.9547, 0.1357, 0.5868)
O (0.9857, 0.7937, 0.4146)
O (0.6779, 0.1301, 0.1374)
O (0.1414, 0.4604, 0.5812)
O (0.6214, 0.4690, 0.9202)
O (0.1527, 0.2059, 0.6966)
O (0.8851, 0.3465, 0.2433)
O (0.8644, 0.3287, 0.6380)
O (0.0112, 0.7968, 0.8041)
O (0.4747, 0.1270, 0.2479)
O (0.0063, 0.2175, 0.3118)
O (0.8080, 0.7937, 0.9146)
O (0.1886, 0.7066, 0.7510)
O (0.3363, 0.8785, 0.5768)
O (0.5311, 0.6620, 0.9713)
Na (0.2935, 0.6359, 0.6664)
Na (0.6539, 0.9722, 0.5775)
Na (0.9872, 0.6389, 0.2442)
Na (0.0091, 0.9693, 0.4997)
Na (0.6517, 0.6389, 0.7442)
Na (0.6268, 0.3026, 0.3331)
Na (0.6758, 0.3026, 0.8331)
Na (0.3206, 0.3056, 0.9108)
Na (0.9850, 0.3056, 0.4108)
Na (0.3183, 0.9722, 0.0775)
Na (0.3425, 0.6359, 0.1664)
Na (0.9601, 0.9693, 0.9997)
Ca (0.3324, 0.6620, 0.5221)
Ca (0.6658, 0.3286, 0.1888)
Ca (0.6629, 0.3286, 0.6888)
Ca (0.9962, 0.9953, 0.3555)
Ca (0.9991, 0.9953, 0.8555)
Ca (0.3295, 0.6620, 0.0221)
S (0.0280, 0.7185, 0.7485)
S (0.6905, 0.7185, 0.2485)
S (0.6947, 0.0518, 0.0818)
S (0.3613, 0.3852, 0.4152)
S (0.3572, 0.0518, 0.5818)
S (0.0238, 0.3852, 0.9152)
Ge (0.3590, 0.6799, 0.8160)
Ge (0.6542, 0.3465, 0.9827)
Ge (0.6924, 0.3465, 0.4827)
Ge (0.0257, 0.0132, 0.1493)
Ge (0.9875, 0.0132, 0.6493)
Ge (0.3208, 0.6799, 0.3160)

***

2.
Below is a relaxed Na2CaGe3P4S2O24 crystal, with properties calculated at the PBE level.

Calculated values
volume = 1408.9 Å³ per cell
symmetry = No. 1
MP2020-corrected energy = -6.99 eV per atom

Unit cell a=8.5448 b=8.5510 c=22.2238 alpha=89.41 beta=90.17 gamma=119.81
Sites, in units of the cell vectors:
O (0.8404, 0.5184, 0.7500)
O (0.5276, 0.6648, 0.2527)
O (0.1918, 0.2402, 0.6960)
O (0.7085, 0.5180, 0.2459)
O (0.1336, 0.5197, 0.5775)
O (0.5047, 0.3771, 0.1374)
O (0.8275, 0.0398, 0.8086)
O (0.3775, 0.8492, 0.5743)
O (0.3785, 0.4655, 0.3598)
O (0.8106, 0.7923, 0.5830)
O (0.6721, 0.1530, 0.0233)
O (0.9664, 0.7873, 0.8086)
O (0.3386, 0.8658, 0.2527)
O (0.1602, 0.1781, 0.4139)
O (0.4923, 0.1119, 0.6406)
O (0.8149, 0.8416, 0.9083)
O (0.8044, 0.0219, 0.0803)
O (0.1663, 0.7033, 0.4732)
O (0.6473, 0.5028, 0.9225)
O (0.1354, 0.4715, 0.2525)
O (0.1630, 0.4536, 0.9739)
O (0.4929, 0.3317, 0.4305)
O (0.4862, 0.1927, 0.2447)
O (0.1441, 0.6150, 0.0737)
O (0.4858, 0.3227, 0.0216)
O (0.6751, 0.5148, 0.5264)
O (0.2924, 0.8323, 0.9750)
O (0.9732, 0.7878, 0.0767)
O (0.2033, 0.9984, 0.1956)
O (0.8497, 0.3296, 0.5272)
O (0.9780, 0.1923, 0.5832)
O (0.7588, 0.9518, 0.6961)
O (0.6256, 0.1264, 0.1354)
O (0.4774, 0.8673, 0.0755)
O (0.0031, 0.2044, 0.1952)
O (0.0267, 0.1884, 0.9091)
O (0.8752, 0.4950, 0.1376)
O (0.5340, 0.9205, 0.3606)
O (0.5008, 0.1438, 0.9239)
O (0.6843, 0.1761, 0.7446)
O (0.8706, 0.3693, 0.6386)
O (0.8517, 0.3517, 0.9227)
O (0.4885, 0.1538, 0.5259)
O (0.8398, 0.5062, 0.4323)
O (0.1296, 0.5017, 0.8621)
O (0.8242, 0.9839, 0.4121)
O (0.3944, 0.5344, 0.0728)
O (0.6758, 0.1664, 0.4320)
O (0.7947, 0.7998, 0.1950)
O (0.0414, 0.8029, 0.6999)
O (0.5468, 0.8386, 0.4725)
O (0.8076, 0.2916, 0.2446)
O (0.1599, 0.9724, 0.9091)
O (0.5068, 0.8386, 0.7664)
O (0.0175, 0.8391, 0.4135)
O (0.2030, 0.0192, 0.5808)
O (0.5421, 0.7103, 0.9735)
O (0.4687, 0.6095, 0.5751)
O (0.6247, 0.4937, 0.6417)
O (0.2084, 0.1942, 0.0774)
O (0.3679, 0.8695, 0.8628)
O (0.0843, 0.6191, 0.3607)
O (0.2216, 0.0379, 0.3065)
O (0.4884, 0.3204, 0.7467)
O (0.5034, 0.6319, 0.8621)
O (0.8173, 0.7821, 0.3062)
O (0.1650, 0.6807, 0.7657)
O (0.9627, 0.1811, 0.3063)
O (0.2099, 0.1717, 0.8093)
O (0.2951, 0.4605, 0.4726)
O (0.3214, 0.4922, 0.7665)
O (0.8421, 0.5079, 0.0213)
Na (0.3291, 0.6617, 0.1680)
Na (0.6644, 0.3296, 0.8322)
Na (0.6673, 0.3329, 0.3388)
Na (0.9991, 0.9922, 0.5047)
Na (0.0082, 0.9988, 0.9987)
Na (0.3448, 0.6684, 0.6662)
P (0.2955, 0.3024, 0.7532)
P (0.3966, 0.3523, 0.0770)
P (0.6258, 0.6733, 0.9173)
P (0.0446, 0.3769, 0.9168)
P (0.3854, 0.0353, 0.5795)
P (0.3359, 0.3689, 0.4189)
P (0.6503, 0.6063, 0.5813)
P (0.6355, 0.9733, 0.4185)
P (0.0322, 0.6622, 0.4195)
P (0.6989, 0.9993, 0.7525)
P (0.3299, 0.9529, 0.9177)
P (0.9554, 0.6041, 0.0767)
Ge (0.3437, 0.6721, 0.5162)
Ge (0.0034, 0.0029, 0.3616)
Ge (0.6365, 0.3112, 0.6846)
Ge (0.0019, 0.0108, 0.8523)
Ge (0.6712, 0.3468, 0.1829)
Ge (0.3266, 0.6573, 0.0166)
Ge (0.6629, 0.3341, 0.4817)
Ge (0.3389, 0.6689, 0.8193)
Ge (0.6658, 0.3379, 0.9743)
S (0.9558, 0.3497, 0.5820)
S (0.0018, 0.7003, 0.7551)
S (0.6477, 0.0450, 0.0786)
S (0.7122, 0.6993, 0.2497)
S (0.9845, 0.2875, 0.2489)
S (0.3063, 0.0176, 0.2495)
Ca (0.3340, 0.6698, 0.3217)
Ca (0.0045, 0.9998, 0.1381)
Ca (0.9990, 0.9991, 0.6471)

***

3.
Below is a relaxed Na5Ca2Ge2P5SO24 crystal, with properties calculated at the PBE level.

Calculated values
volume = 1545.2 Å³ per cell
symmetry = No. 1
MP2020-corrected energy = -6.89 eV per atom

Unit cell a=8.9826 b=8.9556 c=22.2086 alpha=90.41 beta=89.16 gamma=120.12
Sites, in units of the cell vectors:
P (0.7003, 0.9885, 0.7486)
P (0.9838, 0.3351, 0.5845)
P (0.6784, 0.0407, 0.0845)
P (0.0227, 0.6453, 0.4249)
P (0.0219, 0.3797, 0.9198)
P (0.3536, 0.9782, 0.9202)
P (0.7118, 0.7177, 0.2490)
P (0.2883, 0.3013, 0.7474)
P (0.3581, 0.0274, 0.5846)
P (0.6201, 0.9745, 0.4238)
P (0.0090, 0.7132, 0.7482)
P (0.6641, 0.6445, 0.5825)
P (0.0062, 0.2880, 0.2441)
P (0.3593, 0.3155, 0.0853)
P (0.9533, 0.6388, 0.0836)
O (0.5075, 0.6708, 0.5679)
O (0.1891, 0.9824, 0.1888)
O (0.1535, 0.6620, 0.4727)
O (0.8446, 0.3069, 0.2454)
O (0.2973, 0.8339, 0.2460)
O (0.9897, 0.1990, 0.9121)
O (0.2023, 0.2024, 0.4262)
O (0.9308, 0.3759, 0.6442)
O (0.1361, 0.6704, 0.0751)
O (0.4594, 0.1464, 0.2464)
O (0.6338, 0.1536, 0.4372)
O (0.6275, 0.4770, 0.9177)
O (0.9955, 0.8008, 0.4291)
O (0.4466, 0.0784, 0.6444)
O (0.8281, 0.5337, 0.0307)
O (0.2197, 0.1904, 0.8024)
O (0.8467, 0.3008, 0.5346)
O (0.9965, 0.1823, 0.2980)
O (0.1776, 0.1385, 0.0847)
O (0.6248, 0.5494, 0.6416)
O (0.8393, 0.4761, 0.4356)
O (0.7964, 0.7904, 0.9105)
O (0.5158, 0.3709, 0.4310)
O (0.8140, 0.8339, 0.1915)
O (0.2013, 0.0038, 0.9141)
O (0.5405, 0.9234, 0.3609)
O (0.8958, 0.5516, 0.1445)
O (0.5348, 0.7072, 0.2471)
O (0.3401, 0.8840, 0.9774)
O (0.1646, 0.2123, 0.6911)
O (0.7114, 0.1751, 0.0324)
O (0.6588, 0.1066, 0.1455)
O (0.4638, 0.2859, 0.0329)
O (0.5278, 0.1589, 0.9227)
O (0.8525, 0.0350, 0.0826)
O (0.1859, 0.7079, 0.7555)
O (0.3334, 0.4796, 0.4727)
O (0.0753, 0.6185, 0.3615)
O (0.8063, 0.7959, 0.3071)
O (0.5203, 0.6266, 0.8577)
O (0.9693, 0.7821, 0.8037)
O (0.5242, 0.8629, 0.0770)
O (0.8091, 0.0255, 0.8031)
O (0.1141, 0.4543, 0.9776)
O (0.9660, 0.8224, 0.0848)
O (0.0227, 0.1985, 0.1827)
O (0.3738, 0.4621, 0.3648)
O (0.1672, 0.4930, 0.5689)
O (0.1768, 0.0139, 0.5868)
O (0.3305, 0.8428, 0.5698)
O (0.4718, 0.3360, 0.7368)
O (0.8621, 0.5280, 0.7385)
O (0.6687, 0.1395, 0.7385)
O (0.4678, 0.1668, 0.5347)
O (0.1948, 0.0036, 0.2994)
O (0.3753, 0.8820, 0.8601)
O (0.5042, 0.8307, 0.4701)
O (0.3237, 0.4624, 0.0775)
O (0.0475, 0.8350, 0.6911)
O (0.4396, 0.3328, 0.1464)
O (0.1700, 0.4687, 0.2433)
O (0.1206, 0.4991, 0.8604)
O (0.8440, 0.3776, 0.9225)
O (0.5417, 0.6586, 0.9688)
O (0.2928, 0.4824, 0.7550)
O (0.6944, 0.5404, 0.5296)
O (0.5160, 0.8139, 0.7558)
O (0.7952, 0.9855, 0.4280)
O (0.7873, 0.9511, 0.6910)
O (0.9966, 0.1671, 0.5874)
O (0.8341, 0.8258, 0.5859)
O (0.6863, 0.5348, 0.2457)
Ca (0.6676, 0.3370, 0.1792)
Ca (0.6703, 0.3357, 0.6709)
Ca (0.3380, 0.6648, 0.0154)
Ca (0.0040, 0.0054, 0.8547)
Ca (0.0001, 0.0046, 0.3621)
Ca (0.3282, 0.6689, 0.3217)
Na (0.6833, 0.3212, 0.3429)
Na (0.9892, 0.6178, 0.2512)
Na (0.3087, 0.9665, 0.0737)
Na (0.9865, 0.3514, 0.7470)
Na (0.7011, 0.6757, 0.4242)
Na (0.3675, 0.0178, 0.7469)
Na (0.0053, 0.0041, 0.5043)
Na (0.9970, 0.9952, 0.9909)
Na (0.3744, 0.3753, 0.2444)
Na (0.6426, 0.6335, 0.7475)
Na (0.3366, 0.6653, 0.6616)
Na (0.0275, 0.3470, 0.0756)
Na (0.3526, 0.6627, 0.1609)
Na (0.6414, 0.0063, 0.2524)
Na (0.6667, 0.3314, 0.8359)
Ge (0.0017, 0.0017, 0.6459)
Ge (0.6697, 0.3285, 0.9824)
Ge (0.3299, 0.6743, 0.5190)
Ge (0.9837, 0.9964, 0.1404)
Ge (0.3191, 0.6731, 0.8171)
Ge (0.6787, 0.3276, 0.4946)
S (0.3510, 0.3760, 0.4238)
S (0.6227, 0.6431, 0.9147)
S (0.2829, 0.9929, 0.2456)

***

4.
Below is a relaxed Na3Ca3GePS5O24 crystal, with properties calculated at the PBE level.

Calculated values
volume = 1648.6 Å³ per cell
symmetry = No. 1
MP2020-corrected energy = -6.68 eV per atom

Unit cell a=9.1099 b=9.0714 c=23.1910 alpha=90.19 beta=89.65 gamma=120.66
Sites, in units of the cell vectors:
O (0.2057, 0.1785, 0.4169)
O (0.9982, 0.7885, 0.8012)
O (0.9764, 0.8014, 0.0731)
O (0.7382, 0.9512, 0.7028)
O (0.6355, 0.4786, 0.9205)
O (0.8239, 0.0338, 0.0741)
O (0.8590, 0.3358, 0.6304)
O (0.2114, 0.1673, 0.0780)
O (0.4787, 0.3088, 0.0283)
O (0.6648, 0.1431, 0.1261)
O (0.4727, 0.1282, 0.6298)
O (0.3748, 0.4471, 0.3633)
O (0.0435, 0.7854, 0.6972)
O (0.6429, 0.1236, 0.7546)
O (0.4668, 0.1582, 0.2483)
O (0.2091, 0.2551, 0.7020)
O (0.6628, 0.5172, 0.2521)
O (0.6890, 0.1565, 0.0199)
O (0.0176, 0.2199, 0.1985)
O (0.9673, 0.1766, 0.5783)
O (0.8469, 0.3702, 0.9185)
O (0.5140, 0.6172, 0.8668)
O (0.8361, 0.4829, 0.4279)
O (0.7827, 0.0000, 0.8066)
O (0.9787, 0.7946, 0.4206)
O (0.8774, 0.5176, 0.7520)
O (0.5195, 0.1544, 0.9209)
O (0.3667, 0.4798, 0.0768)
O (0.3203, 0.8455, 0.2508)
O (0.6502, 0.1714, 0.4286)
O (0.4649, 0.1525, 0.5239)
O (0.5136, 0.8862, 0.0741)
O (0.3327, 0.8819, 0.9776)
O (0.3315, 0.4470, 0.4672)
O (0.3443, 0.8731, 0.5728)
O (0.5544, 0.6628, 0.9719)
O (0.4989, 0.8107, 0.7661)
O (0.2042, 0.0362, 0.5798)
O (0.7732, 0.7844, 0.1978)
O (0.7987, 0.7910, 0.9111)
O (0.9955, 0.1996, 0.9071)
O (0.2154, 0.2187, 0.8062)
O (0.5158, 0.3495, 0.4259)
O (0.1967, 0.9946, 0.9109)
O (0.1217, 0.5037, 0.8620)
O (0.8545, 0.5327, 0.0210)
O (0.1986, 0.0047, 0.2958)
O (0.8684, 0.5366, 0.1274)
O (0.5175, 0.6406, 0.5767)
O (0.6964, 0.5264, 0.5248)
O (0.4672, 0.3341, 0.1347)
O (0.5560, 0.8924, 0.4730)
O (0.1071, 0.6692, 0.4777)
O (0.1873, 0.6968, 0.7615)
O (0.8587, 0.3286, 0.2523)
O (0.0911, 0.6305, 0.3731)
O (0.1700, 0.4762, 0.2536)
O (0.2106, 0.9846, 0.1909)
O (0.3084, 0.4998, 0.7641)
O (0.1283, 0.6495, 0.0752)
O (0.3751, 0.8705, 0.8673)
O (0.5120, 0.6704, 0.2524)
O (0.8346, 0.3025, 0.5245)
O (0.7821, 0.7840, 0.3031)
O (0.8447, 0.8001, 0.5788)
O (0.5483, 0.9263, 0.3688)
O (0.1231, 0.4553, 0.9713)
O (0.1087, 0.4876, 0.5731)
O (0.0000, 0.2068, 0.3036)
O (0.6681, 0.5265, 0.6348)
O (0.8189, 0.0316, 0.4193)
O (0.4787, 0.3609, 0.7535)
Ca (0.9928, 0.9921, 0.3543)
Ca (0.0031, 0.0016, 0.8526)
Ca (0.9851, 0.9943, 0.1453)
Ca (0.6826, 0.3405, 0.1859)
Ca (0.6584, 0.3310, 0.6904)
Ca (0.3358, 0.6800, 0.3252)
Ca (0.3444, 0.6634, 0.5166)
Ca (0.9896, 0.0050, 0.6523)
Ca (0.3355, 0.6577, 0.0150)
Na (0.9864, 0.0031, 0.5012)
Na (0.3753, 0.6614, 0.6728)
Na (0.0331, 0.7009, 0.5830)
Na (0.3559, 0.3529, 0.2552)
Na (0.9952, 0.0122, 0.9899)
Na (0.6846, 0.3321, 0.3376)
Na (0.2975, 0.9628, 0.0730)
Na (0.6625, 0.3290, 0.8328)
Na (0.3310, 0.6654, 0.1718)
S (0.6429, 0.9994, 0.4232)
S (0.9541, 0.6260, 0.0744)
S (0.3020, 0.3280, 0.7572)
S (0.0080, 0.3054, 0.2520)
S (0.0089, 0.6498, 0.4255)
S (0.3839, 0.3275, 0.0797)
S (0.9422, 0.3253, 0.5784)
S (0.6740, 0.0554, 0.0745)
S (0.0190, 0.6971, 0.7535)
S (0.3520, 0.3558, 0.4189)
S (0.3741, 0.0495, 0.5785)
S (0.6870, 0.6934, 0.2512)
S (0.6724, 0.9777, 0.7585)
S (0.6251, 0.6448, 0.9182)
S (0.2972, 0.9956, 0.2464)
P (0.3463, 0.9690, 0.9209)
P (0.0285, 0.3790, 0.9169)
P (0.6752, 0.6236, 0.5812)
Ge (0.6746, 0.3281, 0.9716)
Ge (0.6641, 0.3382, 0.4862)
Ge (0.3122, 0.6727, 0.8229)